Record 1
This record from the Materials Project database describes a relaxed MgZrTiPb2O6 crystal. The functional is PBE.

abc: 10.839 8.201 3.950
angles: 90.00 90.54 90.00
Space group Cm (No. 8)
Inequivalent atoms, fractional coordinates:
Mg1 0.000 0.000 0.000 [2 per cell]
Zr1 0.244 0.500 0.490 [2 per cell]
Ti1 0.200 0.000 0.474 [2 per cell]
Pb1 0.428 0.175 0.912 [4 per cell]
O1 0.027 0.000 0.501 [2 per cell]
O2 0.067 0.500 0.496 [2 per cell]
O3 0.186 0.000 0.008 [2 per cell]
O4 0.275 0.224 0.490 [4 per cell]
O5 0.307 0.500 0.993 [2 per cell]

energy of formation: -2.51 eV/atom
energy above the most stable polymorph in this dataset: 0.38 eV per formula unit
calculated volume: 15.96 Å³/atom

***

Record 2
This record from the Materials Project database describes a relaxed Ca2Ta2TiO8 crystal. The functional is PBE.

abc: 18.798 6.354 5.470
angles: 90.00 91.35 90.00
Space group C2/c (No. 15)
Inequivalent atoms, fractional coordinates:
Ca1 0.207 0.180 0.245 [8 per cell]
Ta1 0.111 0.354 0.761 [8 per cell]
Ti1 0.000 0.116 0.250 [4 per cell]
O1 0.055 0.146 0.583 [8 per cell]
O2 0.069 0.363 0.098 [8 per cell]
O3 0.179 0.440 0.494 [8 per cell]
O4 0.185 0.155 0.840 [8 per cell]

energy of formation: -3.25 eV/atom
calculated volume: 12.56 Å³/atom

***

Record 3
This record from the Materials Project database describes a relaxed KSnAuS3 crystal. The functional is PBE.

abc: 8.293 8.293 19.554
angles: 90.00 90.00 90.00
Space group P4cc (No. 103)
Inequivalent atoms, fractional coordinates:
K1 0.000 0.000 0.000 [2 per cell]
K2 0.000 0.000 0.198 [2 per cell]
K3 0.500 0.500 0.052 [2 per cell]
K4 0.500 0.500 0.341 [2 per cell]
Sn1 0.000 0.500 0.011 [4 per cell]
Sn2 0.000 0.500 0.188 [4 per cell]
Au1 0.002 0.315 0.348 [8 per cell]
S1 0.150 0.342 0.098 [8 per cell]
S2 0.171 0.323 0.754 [8 per cell]
S3 0.175 0.325 0.444 [8 per cell]

energy of formation: -0.85 eV/atom
calculated volume: 28.02 Å³/atom

***

Record 4
This record from the Materials Project database describes a relaxed AlO2 crystal. The functional is PBE.

abc: 2.976 10.806 3.647
angles: 90.00 90.00 90.00
Space group Cmcm (No. 63)
Inequivalent atoms, fractional coordinates:
Al1 0.000 0.168 0.250 [4 per cell]
O1 0.000 0.206 0.750 [4 per cell]
O2 0.000 0.439 0.750 [4 per cell]

energy of formation: -2.56 eV/atom
calculated volume: 9.77 Å³/atom

***

Record 5
This record from the Materials Project database describes a relaxed Na2GeO10 crystal. The functional is PBE.

abc: 5.600 16.776 9.825
angles: 90.00 116.08 90.00
Space group P2_1/c (No. 14)
Inequivalent atoms, fractional coordinates:
Na1 0.118 0.105 0.089 [4 per cell]
Na2 0.353 0.218 0.705 [4 per cell]
Ge1 0.225 0.585 0.112 [4 per cell]
O1 0.073 0.726 0.383 [4 per cell]
O2 0.081 0.112 0.358 [4 per cell]
O3 0.095 0.063 0.704 [4 per cell]
O4 0.173 0.591 0.915 [4 per cell]
O5 0.190 0.179 0.432 [4 per cell]
O6 0.248 0.027 0.637 [4 per cell]
O7 0.314 0.713 0.497 [4 per cell]
O8 0.318 0.651 0.591 [4 per cell]
O9 0.395 0.000 0.007 [4 per cell]
O10 0.481 0.639 0.237 [4 per cell]

energy of formation: -0.48 eV/atom
energy above the most stable polymorph in this dataset: 0.00 eV per formula unit
calculated volume: 15.94 Å³/atom

***

Record 6
This record from the Materials Project database describes a relaxed YP crystal. The functional is PBE.

abc: 3.479 3.479 3.479
angles: 90.00 90.00 90.00
Space group Pm-3m (No. 221)
Inequivalent atoms, fractional coordinates:
Y1 0.000 0.000 0.000 [1 per cell]
P1 0.500 0.500 0.500 [1 per cell]

energy of formation: -1.07 eV/atom
calculated volume: 21.05 Å³/atom